Computed, not measured: SiO2 after structural relaxation at the PBE-GGA level of DFT.

Energy relative to the elements, kJ/mol of formula units: -847

Lattice parameters (Å, degrees): 9.2767 21.0230 10.0775 90.00 96.99 90.00
Closest atoms and distances in Å follow each position.
Space group C2/m (No. 12)
Symmetry-distinct sites (fractional):
Si: 0.0007 0.1719 0.1549 (multiplicity 8)  4 O 1.62-1.63
Si: 0.1046 0.0765 0.3882 (multiplicity 8)  4 O 1.61-1.63
Si: 0.1279 0.3413 0.5145 (multiplicity 8)  3 O 1.64-1.65
Si: 0.2439 0.2670 0.2800 (multiplicity 8)  4 O 1.62-1.63
O: 0.0000 0.0971 0.5000 (multiplicity 4)  2 Si 1.63
O: 0.0000 0.1505 0.0000 (multiplicity 4)  2 Si 1.62
O: 0.0000 0.3695 0.0000 (multiplicity 4)  6 O 3.59-4.01
O: 0.0463 0.1107 0.2486 (multiplicity 8)  2 Si 1.61-1.62
O: 0.0972 0.0000 0.3671 (multiplicity 4)  2 Si 1.62
O: 0.1154 0.2300 0.1884 (multiplicity 8)  2 Si 1.62-1.63
O: 0.1583 0.2816 0.6199 (multiplicity 8)  2 Si 1.63-1.65
O: 0.1589 0.1976 0.8214 (multiplicity 8)  2 Si 1.62
O: 0.1776 0.3218 0.3696 (multiplicity 8)  2 Si 1.63-1.64
O: 0.2276 0.4024 0.5684 (multiplicity 8)  2 Si 1.63-1.64